No. 1
DFT (PBE-GGA) results for crystalline TaSN at its relaxed geometry.

Calculated values
total magnetization	0.00	μB per formula unit
DFT formation energy	-1122	meV/atom
space group	P4/nmm, No. 129

abc: 3.574 3.574 6.104
angles: 90.00 90.00 90.00
Fractional positions:
1 Ta 0.250 0.250 0.185
2 Ta 0.750 0.750 0.815
3 S 0.250 0.250 0.617
4 S 0.750 0.750 0.383
5 N 0.250 0.750 0.000
6 N 0.750 0.250 0.000


No. 2
DFT (PBE-GGA) results for crystalline CsAgBr3 at its relaxed geometry.

Calculated values
DFT formation energy	-1239	meV/atom
space group	Pm-3m, No. 221

abc: 5.493 5.493 5.493
angles: 90.00 90.00 90.00
Fractional positions:
1 Cs 0.000 0.000 0.000
2 Ag 0.500 0.500 0.500
3 Br 0.000 0.500 0.500
4 Br 0.500 0.000 0.500
5 Br 0.500 0.500 0.000


No. 3
DFT (PBE-GGA) results for crystalline CaB12H12 at its relaxed geometry.

Calculated values
DFT formation energy	-415	meV/atom
space group	C2/c, No. 15

abc: 7.213 7.213 11.144
angles: 90.12 90.12 120.89
Fractional positions:
1 Ca 0.172 0.828 0.750
2 Ca 0.828 0.172 0.250
3 B 0.030 0.129 0.811
4 B 0.060 0.388 0.797
5 B 0.062 0.247 0.666
6 B 0.081 0.613 0.333
7 B 0.129 0.030 0.311
8 B 0.129 0.802 0.099
9 B 0.198 0.640 0.189
10 B 0.198 0.871 0.401
11 B 0.247 0.062 0.166
12 B 0.360 0.802 0.311
13 B 0.387 0.919 0.167
14 B 0.388 0.060 0.297
15 B 0.612 0.940 0.703
16 B 0.613 0.081 0.833
17 B 0.640 0.198 0.689
18 B 0.753 0.938 0.834
19 B 0.802 0.129 0.599
20 B 0.802 0.360 0.811
21 B 0.871 0.198 0.901
22 B 0.871 0.970 0.689
23 B 0.919 0.387 0.667
24 B 0.938 0.753 0.334
25 B 0.940 0.612 0.203
26 B 0.970 0.871 0.189
27 H 0.023 0.454 0.393
28 H 0.101 0.774 0.993
29 H 0.112 0.173 0.357
30 H 0.173 0.112 0.857
31 H 0.218 0.499 0.146
32 H 0.221 0.546 0.833
33 H 0.222 0.308 0.608
34 H 0.226 0.899 0.507
35 H 0.308 0.222 0.108
36 H 0.454 0.023 0.893
37 H 0.454 0.779 0.667
38 H 0.499 0.218 0.646
39 H 0.501 0.782 0.354
40 H 0.546 0.221 0.333
41 H 0.546 0.977 0.107
42 H 0.692 0.778 0.892
43 H 0.774 0.101 0.493
44 H 0.778 0.692 0.392
45 H 0.779 0.454 0.167
46 H 0.782 0.501 0.854
47 H 0.827 0.888 0.143
48 H 0.888 0.827 0.643
49 H 0.899 0.226 0.007
50 H 0.977 0.546 0.607


No. 4
DFT (PBE-GGA) results for crystalline ZrCuSn at its relaxed geometry.

Calculated values
DFT formation energy	-391	meV/atom
space group	Pnma, No. 62

abc: 6.627 4.442 7.813
angles: 90.00 90.00 90.00
Fractional positions:
1 Zr 0.001 0.250 0.221
2 Zr 0.499 0.750 0.721
3 Zr 0.501 0.250 0.279
4 Zr 0.999 0.750 0.779
5 Cu 0.197 0.250 0.584
6 Cu 0.303 0.750 0.084
7 Cu 0.697 0.250 0.916
8 Cu 0.803 0.750 0.416
9 Sn 0.226 0.750 0.413
10 Sn 0.274 0.250 0.913
11 Sn 0.726 0.750 0.087
12 Sn 0.774 0.250 0.587


No. 5
DFT (PBE-GGA) results for crystalline KSb2PO8 at its relaxed geometry.

Calculated values
DFT formation energy	-2221	meV/atom
space group	C2/c, No. 15

abc: 7.219 7.219 15.259
angles: 95.20 95.20 59.78
Fractional positions:
1 K 0.093 0.850 0.616
2 K 0.150 0.907 0.884
3 K 0.850 0.093 0.116
4 K 0.907 0.150 0.384
5 Sb 0.124 0.378 0.747
6 Sb 0.191 0.455 0.063
7 Sb 0.378 0.124 0.247
8 Sb 0.455 0.191 0.563
9 Sb 0.545 0.809 0.437
10 Sb 0.622 0.876 0.753
11 Sb 0.809 0.545 0.937
12 Sb 0.876 0.622 0.253
13 P 0.286 0.512 0.394
14 P 0.488 0.714 0.106
15 P 0.512 0.286 0.894
16 P 0.714 0.488 0.606
17 O 0.000 0.333 0.028
18 O 0.000 0.667 0.972
19 O 0.020 0.660 0.159
20 O 0.061 0.305 0.247
21 O 0.071 0.673 0.347
22 O 0.246 0.405 0.468
23 O 0.255 0.414 0.645
24 O 0.305 0.061 0.747
25 O 0.327 0.929 0.153
26 O 0.333 0.000 0.528
27 O 0.339 0.439 0.827
28 O 0.340 0.980 0.341
29 O 0.353 0.618 0.062
30 O 0.382 0.647 0.438
31 O 0.405 0.246 0.968
32 O 0.414 0.255 0.145
33 O 0.439 0.339 0.327
34 O 0.561 0.661 0.673
35 O 0.586 0.745 0.855
36 O 0.595 0.754 0.032
37 O 0.618 0.353 0.562
38 O 0.647 0.382 0.938
39 O 0.660 0.020 0.659
40 O 0.661 0.561 0.173
41 O 0.667 0.000 0.472
42 O 0.673 0.071 0.847
43 O 0.695 0.939 0.253
44 O 0.745 0.586 0.355
45 O 0.754 0.595 0.532
46 O 0.929 0.327 0.653
47 O 0.939 0.695 0.753
48 O 0.980 0.340 0.841


No. 6
DFT (PBE-GGA) results for crystalline MgTe4MoW3S4 at its relaxed geometry.

Calculated values
total magnetization	0.01	μB per formula unit
DFT formation energy	-484	meV/atom
excess energy over the best structure of this formula in the dataset	0.025	eV/atom
space group	P1, No. 1

abc: 3.349 3.349 38.097
angles: 89.99 90.00 60.01
Fractional positions:
1 Mg 0.000 0.000 0.000
2 Te 0.625 0.686 0.168
3 Te 0.625 0.686 0.268
4 Te 0.958 0.019 0.732
5 Te 0.958 0.019 0.832
6 Mo 0.958 0.019 0.218
7 W 0.624 0.686 0.406
8 W 0.624 0.686 0.782
9 W 0.958 0.020 0.593
10 S 0.625 0.686 0.554
11 S 0.625 0.686 0.633
12 S 0.958 0.019 0.366
13 S 0.958 0.019 0.446